First-principles (r²SCAN) data for a geometry-optimized Sc2NiB2Ir5 structure, as listed in Materials Project.

Results
* energy: -318.8 eV/f.u.
* formation energy: -0.754 eV/atom
* spin magnetization: 1.7 μB/f.u.

Geometry as CIF:
```
data_Sc2NiB2Ir5
_chemical_formula_sum 'Sc4 Ni2 B4 Ir10'
_cell_length_a 9.342
_cell_length_b 9.342
_cell_length_c 3.015
_cell_angle_alpha 90.00
_cell_angle_beta 90.00
_cell_angle_gamma 90.00
_space_group_name_H-M_alt 'P 4/m b m'
_space_group_IT_number 127
_space_group_name_Hall '-P 4 2ab'
loop_
_atom_site_label
_atom_site_type_symbol
_atom_site_fract_x
_atom_site_fract_y
_atom_site_fract_z
Sc1 Sc 0.176 0.324 0.000
Ni1 Ni 0.000 0.000 0.000
B1 B 0.126 0.626 0.000
Ir1 Ir 0.000 0.500 0.500
Ir2 Ir 0.069 0.786 0.500
```